Entry from the Materials Project database: a relaxed Tm6Al43Cr4 crystal (GGA-PBE).

Properties
Energy relative to the elements in meV per atom: -261

Lattice parameters (Å, degrees): 10.929 10.929 17.439 90.00 90.00 120.00
Positions (direct):
1 Tm 0.000 0.470 0.095
2 Tm 0.000 0.470 0.405
3 Tm 0.000 0.530 0.595
4 Tm 0.000 0.530 0.905
5 Tm 0.470 0.000 0.095
6 Tm 0.470 0.000 0.405
7 Tm 0.470 0.470 0.595
8 Tm 0.470 0.470 0.905
9 Tm 0.530 0.000 0.595
10 Tm 0.530 0.000 0.905
11 Tm 0.530 0.530 0.095
12 Tm 0.530 0.530 0.405
13 Al 0.000 0.145 0.750
14 Al 0.000 0.155 0.116
15 Al 0.000 0.155 0.384
16 Al 0.000 0.252 0.531
17 Al 0.000 0.252 0.969
18 Al 0.000 0.748 0.031
19 Al 0.000 0.748 0.469
20 Al 0.000 0.845 0.616
21 Al 0.000 0.845 0.884
22 Al 0.000 0.855 0.250
23 Al 0.145 0.000 0.750
24 Al 0.145 0.145 0.250
25 Al 0.145 0.548 0.250
26 Al 0.145 0.596 0.750
27 Al 0.155 0.000 0.116
28 Al 0.155 0.000 0.384
29 Al 0.155 0.155 0.616
30 Al 0.155 0.155 0.884
31 Al 0.159 0.391 0.665
32 Al 0.159 0.391 0.835
33 Al 0.159 0.768 0.165
34 Al 0.159 0.768 0.335
35 Al 0.232 0.391 0.165
36 Al 0.232 0.391 0.335
37 Al 0.232 0.841 0.665
38 Al 0.232 0.841 0.835
39 Al 0.247 0.493 0.000
40 Al 0.247 0.493 0.500
41 Al 0.247 0.753 0.000
42 Al 0.247 0.753 0.500
43 Al 0.252 0.000 0.531
44 Al 0.252 0.000 0.969
45 Al 0.252 0.252 0.031
46 Al 0.252 0.252 0.469
47 Al 0.333 0.667 0.127
48 Al 0.333 0.667 0.373
49 Al 0.333 0.667 0.627
50 Al 0.333 0.667 0.873
51 Al 0.391 0.159 0.665
52 Al 0.391 0.159 0.835
53 Al 0.391 0.232 0.165
54 Al 0.391 0.232 0.335
55 Al 0.404 0.548 0.750
56 Al 0.404 0.855 0.250
57 Al 0.452 0.596 0.250
58 Al 0.452 0.855 0.750
59 Al 0.493 0.247 0.000
60 Al 0.493 0.247 0.500
61 Al 0.507 0.753 0.000
62 Al 0.507 0.753 0.500
63 Al 0.548 0.145 0.250
64 Al 0.548 0.404 0.750
65 Al 0.596 0.145 0.750
66 Al 0.596 0.452 0.250
67 Al 0.609 0.768 0.665
68 Al 0.609 0.768 0.835
69 Al 0.609 0.841 0.165
70 Al 0.609 0.841 0.335
71 Al 0.667 0.333 0.127
72 Al 0.667 0.333 0.373
73 Al 0.667 0.333 0.627
74 Al 0.667 0.333 0.873
75 Al 0.748 0.000 0.031
76 Al 0.748 0.000 0.469
77 Al 0.748 0.748 0.531
78 Al 0.748 0.748 0.969
79 Al 0.753 0.247 0.000
80 Al 0.753 0.247 0.500
81 Al 0.753 0.507 0.000
82 Al 0.753 0.507 0.500
83 Al 0.768 0.159 0.165
84 Al 0.768 0.159 0.335
85 Al 0.768 0.609 0.665
86 Al 0.768 0.609 0.835
87 Al 0.841 0.232 0.665
88 Al 0.841 0.232 0.835
89 Al 0.841 0.609 0.165
90 Al 0.841 0.609 0.335
91 Al 0.845 0.000 0.616
92 Al 0.845 0.000 0.884
93 Al 0.845 0.845 0.116
94 Al 0.845 0.845 0.384
95 Al 0.855 0.000 0.250
96 Al 0.855 0.404 0.250
97 Al 0.855 0.452 0.750
98 Al 0.855 0.855 0.750
99 Cr 0.000 0.000 0.000
100 Cr 0.000 0.000 0.500
101 Cr 0.000 0.270 0.250
102 Cr 0.000 0.730 0.750
103 Cr 0.270 0.000 0.250
104 Cr 0.270 0.270 0.750
105 Cr 0.730 0.000 0.750
106 Cr 0.730 0.730 0.250

Entry from the Materials Project database: a relaxed UAl20Cr2 crystal (GGA-PBE).

Properties
Energy relative to the elements in meV per atom: 105
Polymorph energy (0 for the lowest one) in meV per atom: 237

Lattice parameters (Å, degrees): 10.344 10.344 10.344 60.00 60.00 60.00
Positions (direct):
1 U 0.125 0.125 0.125
2 U 0.875 0.875 0.875
3 Al 0.000 0.500 0.500
4 Al 0.056 0.321 0.321
5 Al 0.056 0.321 0.802
6 Al 0.056 0.802 0.321
7 Al 0.198 0.679 0.679
8 Al 0.198 0.679 0.944
9 Al 0.198 0.944 0.679
10 Al 0.238 0.238 0.512
11 Al 0.238 0.512 0.238
12 Al 0.238 0.512 0.512
13 Al 0.321 0.056 0.321
14 Al 0.321 0.056 0.802
15 Al 0.321 0.321 0.056
16 Al 0.321 0.321 0.802
17 Al 0.321 0.802 0.056
18 Al 0.321 0.802 0.321
19 Al 0.488 0.488 0.762
20 Al 0.488 0.762 0.488
21 Al 0.488 0.762 0.762
22 Al 0.500 0.000 0.500
23 Al 0.500 0.500 0.000
24 Al 0.500 0.500 0.500
25 Al 0.512 0.238 0.238
26 Al 0.512 0.238 0.512
27 Al 0.512 0.512 0.238
28 Al 0.679 0.198 0.679
29 Al 0.679 0.198 0.944
30 Al 0.679 0.679 0.198
31 Al 0.679 0.679 0.944
32 Al 0.679 0.944 0.198
33 Al 0.679 0.944 0.679
34 Al 0.762 0.488 0.488
35 Al 0.762 0.488 0.762
36 Al 0.762 0.762 0.488
37 Al 0.802 0.056 0.321
38 Al 0.802 0.321 0.056
39 Al 0.802 0.321 0.321
40 Al 0.944 0.198 0.679
41 Al 0.944 0.679 0.198
42 Al 0.944 0.679 0.679
43 Cr 0.000 0.000 0.000
44 Cr 0.000 0.000 0.500
45 Cr 0.000 0.500 0.000
46 Cr 0.500 0.000 0.000

Entry from the Materials Project database: a relaxed UAl8Cr4 crystal (GGA-PBE).

Properties
Energy relative to the elements in meV per atom: -118

Lattice parameters (Å, degrees): 6.753 6.753 6.753 97.87 97.87 136.56
Positions (direct):
1 U 0.000 0.000 0.000
2 Al 0.000 0.342 0.342
3 Al 0.000 0.658 0.658
4 Al 0.283 0.500 0.783
5 Al 0.342 0.000 0.342
6 Al 0.500 0.283 0.783
7 Al 0.500 0.717 0.217
8 Al 0.658 0.000 0.658
9 Al 0.717 0.500 0.217
10 Cr 0.000 0.000 0.500
11 Cr 0.000 0.500 0.000
12 Cr 0.500 0.000 0.000
13 Cr 0.500 0.500 0.500

Entry from the Materials Project database: a relaxed UAl20Cr2 crystal (GGA-PBE).

Properties
Energy relative to the elements in meV per atom: -131
Polymorph energy (0 for the lowest one) in meV per atom: 0

Lattice parameters (Å, degrees): 10.153 10.153 10.153 60.00 60.00 60.00
Positions (direct):
1 U 0.125 0.125 0.125
2 U 0.875 0.875 0.875
3 Al 0.000 0.000 0.000
4 Al 0.000 0.000 0.500
5 Al 0.000 0.500 0.000
6 Al 0.057 0.325 0.325
7 Al 0.057 0.325 0.793
8 Al 0.057 0.793 0.325
9 Al 0.207 0.675 0.675
10 Al 0.207 0.675 0.943
11 Al 0.207 0.943 0.675
12 Al 0.239 0.239 0.511
13 Al 0.239 0.511 0.239
14 Al 0.239 0.511 0.511
15 Al 0.325 0.057 0.325
16 Al 0.325 0.057 0.793
17 Al 0.325 0.325 0.057
18 Al 0.325 0.325 0.793
19 Al 0.325 0.793 0.057
20 Al 0.325 0.793 0.325
21 Al 0.489 0.489 0.761
22 Al 0.489 0.761 0.489
23 Al 0.489 0.761 0.761
24 Al 0.500 0.000 0.000
25 Al 0.511 0.239 0.239
26 Al 0.511 0.239 0.511
27 Al 0.511 0.511 0.239
28 Al 0.675 0.207 0.675
29 Al 0.675 0.207 0.943
30 Al 0.675 0.675 0.207
31 Al 0.675 0.675 0.943
32 Al 0.675 0.943 0.207
33 Al 0.675 0.943 0.675
34 Al 0.761 0.489 0.489
35 Al 0.761 0.489 0.761
36 Al 0.761 0.761 0.489
37 Al 0.793 0.057 0.325
38 Al 0.793 0.325 0.057
39 Al 0.793 0.325 0.325
40 Al 0.943 0.207 0.675
41 Al 0.943 0.675 0.207
42 Al 0.943 0.675 0.675
43 Cr 0.000 0.500 0.500
44 Cr 0.500 0.000 0.500
45 Cr 0.500 0.500 0.000
46 Cr 0.500 0.500 0.500